Arrangement 1

Crystalline SbP4O12 at its relaxed geometry, computed with PBE.

Cell lengths 8.7836, 10.3543, 12.6289 Å; angles 53.09, 90.00, 90.00 degrees
Element x y z (fractional)
Sb 0.2727 0.8275 0.9871
Sb 0.7727 0.1725 0.5129
Sb 0.2273 0.8275 0.4871
Sb 0.7273 0.1725 0.0129
P 0.4969 0.5120 0.2332
P 0.3863 0.7041 0.3112
P 0.8863 0.2959 0.1888
P 0.5031 0.4880 0.7668
P 0.6137 0.2959 0.6888
P 0.0990 0.1036 0.1556
P 0.0031 0.5120 0.7332
P 0.1567 0.1808 0.4652
P 0.1137 0.7041 0.8112
P 0.9010 0.8964 0.8444
P 0.4010 0.1036 0.6556
P 0.8433 0.8192 0.5348
P 0.5990 0.8964 0.3444
P 0.3433 0.1808 0.9652
P 0.6567 0.8192 0.0348
P 0.9969 0.4880 0.2668
O 0.6683 0.1839 0.8301
O 0.7103 0.3323 0.5753
O 0.7897 0.3323 0.0753
O 0.2766 0.0788 0.9282
O 0.7785 0.7862 0.9600
O 0.7766 0.9212 0.5718
O 0.2103 0.6677 0.9247
O 0.3758 0.5706 0.1275
O 0.8623 0.6405 0.6670
O 0.7234 0.9212 0.0718
O 0.7215 0.7862 0.4600
O 0.0639 0.5357 0.8427
O 0.8317 0.1839 0.3301
O 0.1242 0.5706 0.6275
O 0.9501 0.7697 0.8184
O 0.3127 0.9671 0.7732
O 0.9889 0.8738 0.4535
O 0.4427 0.6549 0.6925
O 0.5573 0.3451 0.3075
O 0.0111 0.1262 0.5465
O 0.9679 0.0590 0.1062
O 0.5499 0.7697 0.3184
O 0.0321 0.9410 0.8938
O 0.2234 0.0788 0.4282
O 0.2215 0.2138 0.0400
O 0.9361 0.4643 0.1573
O 0.4501 0.2303 0.6816
O 0.0499 0.2303 0.1816
O 0.4361 0.5357 0.3427
O 0.0573 0.6549 0.1925
O 0.3623 0.3595 0.8330
O 0.9427 0.3451 0.8075
O 0.4679 0.9410 0.3938
O 0.6377 0.6405 0.1670
O 0.2785 0.2138 0.5400
O 0.2897 0.6677 0.4247
O 0.6242 0.4294 0.8725
O 0.3317 0.8161 0.1699
O 0.1377 0.3595 0.3330
O 0.5639 0.4643 0.6573
O 0.5111 0.8738 0.9535
O 0.1683 0.8161 0.6699
O 0.5321 0.0590 0.6062
O 0.4889 0.1262 0.0465
O 0.8127 0.0329 0.7268
O 0.8758 0.4294 0.3725
O 0.1873 0.9671 0.2732
O 0.6873 0.0329 0.2268

Results
Space group: P2_1/c, No. 14
Magnetization, μB per cell: 0.00



Arrangement 2

Crystalline SbP4O12 at its relaxed geometry, computed with PBE.

Cell lengths 13.5335, 7.2804, 11.9009 Å; angles 54.49, 90.00, 90.00 degrees
Element x y z (fractional)
Sb 0.7873 0.4533 0.0759
Sb 0.2873 0.5467 0.4241
Sb 0.7127 0.4533 0.5759
Sb 0.2127 0.5467 0.9241
P 0.5888 0.4901 0.1983
P 0.3747 0.4242 0.1972
P 0.9118 0.0668 0.2184
P 0.1231 0.1634 0.2388
P 0.6231 0.8366 0.2612
P 0.8747 0.5758 0.3028
P 0.0888 0.5099 0.3017
P 0.4118 0.9332 0.2816
P 0.5882 0.0668 0.7184
P 0.9112 0.4901 0.6983
P 0.1253 0.4242 0.6972
P 0.3769 0.1634 0.7388
P 0.8769 0.8366 0.7612
P 0.0882 0.9332 0.7816
P 0.6253 0.5758 0.8028
P 0.4112 0.5099 0.8017
O 0.6582 0.6292 0.0708
O 0.9043 0.2516 0.0620
O 0.2949 0.5464 0.0897
O 0.1491 0.2657 0.0865
O 0.4788 0.5397 0.1281
O 0.8613 0.5952 0.1697
O 0.6963 0.9794 0.1542
O 0.1116 0.7497 0.2018
O 0.3850 0.1760 0.2382
O 0.3468 0.8642 0.2080
O 0.0811 0.3739 0.2343
O 0.5228 0.9776 0.2296
O 0.5811 0.6261 0.2657
O 0.0228 0.0224 0.2704
O 0.6116 0.2503 0.2982
O 0.8468 0.1358 0.2920
O 0.8850 0.8240 0.2618
O 0.3613 0.4048 0.3303
O 0.9788 0.4603 0.3719
O 0.1963 0.0206 0.3458
O 0.7949 0.4536 0.4103
O 0.1582 0.3708 0.4292
O 0.6491 0.7343 0.4135
O 0.4043 0.7484 0.4380
O 0.5957 0.2516 0.5620
O 0.3509 0.2657 0.5865
O 0.8418 0.6292 0.5708
O 0.2051 0.5464 0.5897
O 0.8037 0.9794 0.6542
O 0.0212 0.5397 0.6281
O 0.6387 0.5952 0.6697
O 0.1150 0.1760 0.7382
O 0.1532 0.8642 0.7080
O 0.3884 0.7497 0.7018
O 0.9772 0.9776 0.7296
O 0.4189 0.3739 0.7343
O 0.4772 0.0224 0.7704
O 0.9189 0.6261 0.7657
O 0.6532 0.1358 0.7920
O 0.6150 0.8240 0.7618
O 0.8884 0.2503 0.7982
O 0.3037 0.0206 0.8458
O 0.1387 0.4048 0.8303
O 0.5212 0.4603 0.8719
O 0.8509 0.7343 0.9135
O 0.7051 0.4536 0.9103
O 0.0957 0.7484 0.9380
O 0.3418 0.3708 0.9292

Results
Space group: P2_1/c, No. 14
Magnetization, μB per cell: 4.00



Stability summary - winner: arrangement 1; margin: 40 meV per atom.



Arrangement 1

Crystalline SrEr2O4 at its relaxed geometry, computed with PBE.

Cell lengths 3.3964, 10.0906, 11.9150 Å; angles 90.00, 90.00, 90.00 degrees
Element x y z (fractional)
Sr 0.7500 0.7535 0.6498
Sr 0.7500 0.2535 0.8502
Sr 0.2500 0.2465 0.3502
Sr 0.2500 0.7465 0.1498
Er 0.2500 0.0773 0.6100
Er 0.2500 0.5773 0.8900
Er 0.2500 0.0757 0.1120
Er 0.7500 0.4227 0.1100
Er 0.7500 0.9243 0.8880
Er 0.2500 0.5757 0.3880
Er 0.7500 0.9227 0.3900
Er 0.7500 0.4243 0.6120
O 0.2500 0.9847 0.2838
O 0.7500 0.1239 0.4803
O 0.7500 0.7109 0.3274
O 0.2500 0.2891 0.6726
O 0.2500 0.8761 0.5197
O 0.7500 0.5153 0.7838
O 0.7500 0.6239 0.0197
O 0.7500 0.9256 0.0768
O 0.2500 0.5744 0.5768
O 0.2500 0.3761 0.9803
O 0.2500 0.7891 0.8274
O 0.7500 0.2109 0.1726
O 0.2500 0.0744 0.9232
O 0.7500 0.4256 0.4232
O 0.7500 0.0153 0.7162
O 0.2500 0.4847 0.2162

Results
Space group: Pnma, No. 62



Arrangement 2

Crystalline SrEr2O4 at its relaxed geometry, computed with PBE.

Cell lengths 3.2316, 6.0498, 7.8293 Å; angles 86.20, 90.00, 90.00 degrees
Element x y z (fractional)
Sr 0.5000 0.3371 0.8205
Er 0.0000 0.4781 0.3488
Er 0.0000 0.9934 0.1562
O 0.5000 0.2400 0.2182
O 0.5000 0.7392 0.2221
O 0.5000 0.4532 0.5310
O 0.0000 0.0858 0.8998

Results
Space group: Pm, No. 6
Magnetization, μB per cell: 0.00



Stability summary - winner: arrangement 1; margin: 405 meV per atom.



Arrangement 1

Crystalline Al6C3N2 at its relaxed geometry, computed with PBE.

Cell lengths 3.4794, 4.1648, 9.2316 Å; angles 78.22, 90.00, 90.00 degrees
Element x y z (fractional)
Al 0.5000 0.2769 0.7500
Al 0.5000 0.0721 0.3923
Al 0.0000 0.5124 0.5126
Al 0.5000 0.6284 0.1435
Al 0.0000 0.7577 0.8352
Al 0.0000 0.1622 0.0638
C 0.5000 0.1052 0.1814
C 0.5000 0.7033 0.5787
C 0.0000 0.2617 0.8381
N 0.0000 0.6655 0.0526
N 0.5000 0.8278 0.7166

Results
Space group: Pm, No. 6
Magnetization, μB per cell: 0.00



Arrangement 2

Crystalline Al6C3N2 at its relaxed geometry, computed with PBE.

Cell lengths 13.6392, 13.6392, 13.6392 Å; angles 13.79, 13.79, 13.79 degrees
Element x y z (fractional)
Al 0.3084 0.3084 0.3084
Al 0.9124 0.9124 0.9124
Al 0.1891 0.1891 0.1891
Al 0.8109 0.8109 0.8109
Al 0.0876 0.0876 0.0876
Al 0.6916 0.6916 0.6916
C 0.0000 0.0000 0.0000
C 0.1346 0.1346 0.1346
C 0.8654 0.8654 0.8654
N 0.7361 0.7361 0.7361
N 0.2639 0.2639 0.2639

Results
Space group: R-3m, No. 166
Magnetization, μB per cell: 0.00



Stability summary - winner: arrangement 2; margin: 357 meV per atom.



Arrangement 1

Crystalline LiTiSiO4 at its relaxed geometry, computed with PBE.

Cell lengths 5.0665, 5.0665, 5.9796 Å; angles 90.00, 90.00, 112.00 degrees
Element x y z (fractional)
Li 0.6629 0.3371 0.2500
Li 0.3371 0.6629 0.7500
Ti 0.0000 0.0000 0.0000
Ti 0.0000 0.0000 0.5000
Si 0.6515 0.3485 0.7500
Si 0.3485 0.6515 0.2500
O 0.2409 0.2959 0.2500
O 0.2959 0.2409 0.7500
O 0.7657 0.2343 0.5304
O 0.2343 0.7657 0.0304
O 0.7657 0.2343 0.9696
O 0.2343 0.7657 0.4696
O 0.7591 0.7041 0.7500
O 0.7041 0.7591 0.2500

Results
Space group: Cmcm, No. 63
Magnetization, μB per cell: 0.69



Arrangement 2

Crystalline LiTiSiO4 at its relaxed geometry, computed with PBE.

Cell lengths 5.7316, 5.7316, 8.1690 Å; angles 90.00, 90.00, 90.00 degrees
Element x y z (fractional)
Li 0.0000 0.2211 0.0000
Li 0.0000 0.7789 0.5000
Li 0.2211 0.0000 0.2500
Li 0.7789 0.0000 0.7500
Ti 0.2439 0.5000 0.2500
Ti 0.5000 0.2439 0.0000
Ti 0.5000 0.7561 0.5000
Ti 0.7561 0.5000 0.7500
Si 0.2483 0.2483 0.6250
Si 0.2483 0.7517 0.8750
Si 0.7517 0.2483 0.3750
Si 0.7517 0.7517 0.1250
O 0.9893 0.2579 0.2609
O 0.9893 0.7421 0.2391
O 0.2579 0.9893 0.9891
O 0.2579 0.0107 0.5109
O 0.2562 0.5134 0.9945
O 0.2562 0.4866 0.5055
O 0.5134 0.2562 0.2555
O 0.5134 0.7438 0.2445
O 0.4866 0.2562 0.7445
O 0.4866 0.7438 0.7555
O 0.7438 0.4866 0.4945
O 0.7438 0.5134 0.0055
O 0.7421 0.0107 0.4891
O 0.7421 0.9893 0.0109
O 0.0107 0.2579 0.7391
O 0.0107 0.7421 0.7609

Results
Space group: P4_322, No. 95
Magnetization, μB per cell: 4.00



Stability summary - winner: arrangement 1; margin: 9 meV per atom.



Arrangement 1

Crystalline BiBr7N6F4 at its relaxed geometry, computed with PBE.

Cell lengths 12.7827, 12.7827, 12.7827 Å; angles 90.00, 90.00, 90.00 degrees
Element x y z (fractional)
Bi 0.5000 0.5000 0.0000
Bi 0.5000 0.0000 0.5000
Bi 0.0000 0.5000 0.5000
Bi 0.0000 0.0000 0.0000
Br 0.0231 0.5760 0.2764
Br 0.9769 0.0760 0.2236
Br 0.4769 0.4240 0.7764
Br 0.5231 0.9240 0.7236
Br 0.2764 0.0231 0.5760
Br 0.2236 0.9769 0.0760
Br 0.7764 0.4769 0.4240
Br 0.7236 0.5231 0.9240
Br 0.5760 0.2764 0.0231
Br 0.0760 0.2236 0.9769
Br 0.4240 0.7764 0.4769
Br 0.9240 0.7236 0.5231
Br 0.9769 0.4240 0.7236
Br 0.0231 0.9240 0.7764
Br 0.5231 0.5760 0.2236
Br 0.4769 0.0760 0.2764
Br 0.7236 0.9769 0.4240
Br 0.7764 0.0231 0.9240
Br 0.2236 0.5231 0.5760
Br 0.2764 0.4769 0.0760
Br 0.4240 0.7236 0.9769
Br 0.9240 0.7764 0.0231
Br 0.5760 0.2236 0.5231
Br 0.0760 0.2764 0.4769
Br 0.0000 0.0000 0.5000
Br 0.0000 0.5000 0.0000
Br 0.5000 0.0000 0.0000
Br 0.5000 0.5000 0.5000
N 0.9380 0.7614 0.3895
N 0.0620 0.2614 0.1105
N 0.5620 0.2386 0.8895
N 0.4380 0.7386 0.6105
N 0.3895 0.9380 0.7614
N 0.1105 0.0620 0.2614
N 0.8895 0.5620 0.2386
N 0.6105 0.4380 0.7386
N 0.7614 0.3895 0.9380
N 0.2614 0.1105 0.0620
N 0.2386 0.8895 0.5620
N 0.7386 0.6105 0.4380
N 0.0620 0.2386 0.6105
N 0.9380 0.7386 0.8895
N 0.4380 0.7614 0.1105
N 0.5620 0.2614 0.3895
N 0.6105 0.0620 0.2386
N 0.8895 0.9380 0.7386
N 0.1105 0.4380 0.7614
N 0.3895 0.5620 0.2614
N 0.2386 0.6105 0.0620
N 0.7386 0.8895 0.9380
N 0.7614 0.1105 0.4380
N 0.2614 0.3895 0.5620
F 0.3227 0.6773 0.1773
F 0.6773 0.1773 0.3227
F 0.1773 0.3227 0.6773
F 0.8227 0.8227 0.8227
F 0.6773 0.3227 0.8227
F 0.3227 0.8227 0.6773
F 0.8227 0.6773 0.3227
F 0.1773 0.1773 0.1773
F 0.0893 0.9107 0.4107
F 0.9107 0.4107 0.0893
F 0.4107 0.0893 0.9107
F 0.5893 0.5893 0.5893
F 0.9107 0.0893 0.5893
F 0.0893 0.5893 0.9107
F 0.5893 0.9107 0.0893
F 0.4107 0.4107 0.4107

Results
Space group: Pa-3, No. 205
Magnetization, μB per cell: 0.00



Arrangement 2

Crystalline BiBr7N6F4 at its relaxed geometry, computed with PBE.

Cell lengths 12.3223, 12.3223, 12.3223 Å; angles 90.00, 90.00, 90.00 degrees
Element x y z (fractional)
Bi 0.5000 0.5000 0.0000
Bi 0.5000 0.0000 0.5000
Bi 0.0000 0.5000 0.5000
Bi 0.0000 0.0000 0.0000
Br 0.1345 0.6014 0.2628
Br 0.8655 0.1014 0.2372
Br 0.3655 0.3986 0.7628
Br 0.6345 0.8986 0.7372
Br 0.2628 0.1345 0.6014
Br 0.2372 0.8655 0.1014
Br 0.7628 0.3655 0.3986
Br 0.7372 0.6345 0.8986
Br 0.6014 0.2628 0.1345
Br 0.1014 0.2372 0.8655
Br 0.3986 0.7628 0.3655
Br 0.8986 0.7372 0.6345
Br 0.8655 0.3986 0.7372
Br 0.1345 0.8986 0.7628
Br 0.6345 0.6014 0.2372
Br 0.3655 0.1014 0.2628
Br 0.7372 0.8655 0.3986
Br 0.7628 0.1345 0.8986
Br 0.2372 0.6345 0.6014
Br 0.2628 0.3655 0.1014
Br 0.3986 0.7372 0.8655
Br 0.8986 0.7628 0.1345
Br 0.6014 0.2372 0.6345
Br 0.1014 0.2628 0.3655
Br 0.0000 0.0000 0.5000
Br 0.0000 0.5000 0.0000
Br 0.5000 0.0000 0.0000
Br 0.5000 0.5000 0.5000
N 0.9795 0.6886 0.5248
N 0.0205 0.1886 0.9752
N 0.5205 0.3114 0.0248
N 0.4795 0.8114 0.4752
N 0.5248 0.9795 0.6886
N 0.9752 0.0205 0.1886
N 0.0248 0.5205 0.3114
N 0.4752 0.4795 0.8114
N 0.6886 0.5248 0.9795
N 0.1886 0.9752 0.0205
N 0.3114 0.0248 0.5205
N 0.8114 0.4752 0.4795
N 0.0205 0.3114 0.4752
N 0.9795 0.8114 0.0248
N 0.4795 0.6886 0.9752
N 0.5205 0.1886 0.5248
N 0.4752 0.0205 0.3114
N 0.0248 0.9795 0.8114
N 0.9752 0.4795 0.6886
N 0.5248 0.5205 0.1886
N 0.3114 0.4752 0.0205
N 0.8114 0.0248 0.9795
N 0.6886 0.9752 0.4795
N 0.1886 0.5248 0.5205
F 0.2880 0.7120 0.2120
F 0.7120 0.2120 0.2880
F 0.2120 0.2880 0.7120
F 0.7880 0.7880 0.7880
F 0.7120 0.2880 0.7880
F 0.2880 0.7880 0.7120
F 0.7880 0.7120 0.2880
F 0.2120 0.2120 0.2120
F 0.0901 0.9099 0.4099
F 0.9099 0.4099 0.0901
F 0.4099 0.0901 0.9099
F 0.5901 0.5901 0.5901
F 0.9099 0.0901 0.5901
F 0.0901 0.5901 0.9099
F 0.5901 0.9099 0.0901
F 0.4099 0.4099 0.4099

Results
Space group: Pa-3, No. 205
Magnetization, μB per cell: 1.00



Stability summary - winner: arrangement 2; margin: 288 meV per atom.